DFT (PBE+U) results for a relaxed LiV2Si2O8 crystal.

a b c (Å): 6.264 4.863 4.863
angles (deg): 67.64 90.00 90.00
Fractional positions:
1 Li 0.000 0.000 0.000
2 V 0.258 0.671 0.671
3 V 0.742 0.671 0.671
4 Si 0.000 0.327 0.327
5 Si 0.500 0.025 0.025
6 O 0.000 0.447 0.958
7 O 0.000 0.958 0.447
8 O 0.206 0.448 0.448
9 O 0.285 0.909 0.909
10 O 0.500 0.395 0.891
11 O 0.500 0.891 0.395
12 O 0.715 0.909 0.909
13 O 0.794 0.448 0.448

Summary:
SG: Amm2 (38)
Offset from the most stable computed form (meV per atom): 21

DFT (PBE+U) results for a relaxed MgV12Zn6O24 crystal.

a b c (Å): 6.028 6.039 15.394
angles (deg): 89.65 88.80 60.23
Fractional positions:
1 Mg 0.000 0.000 0.000
2 V 0.152 0.183 0.666
3 V 0.152 0.673 0.666
4 V 0.310 0.350 0.837
5 V 0.335 0.837 0.342
6 V 0.494 0.004 0.003
7 V 0.495 0.506 0.004
8 V 0.643 0.180 0.666
9 V 0.823 0.347 0.343
10 V 0.824 0.837 0.344
11 V 0.968 0.019 0.158
12 V 0.988 0.008 0.505
13 V 0.997 0.504 0.999
14 Zn 0.322 0.342 0.462
15 Zn 0.327 0.342 0.215
16 Zn 0.643 0.682 0.796
17 Zn 0.654 0.675 0.546
18 Zn 0.659 0.679 0.172
19 Zn 0.980 0.022 0.848
20 O 0.003 0.003 0.282
21 O 0.007 0.492 0.747
22 O 0.140 0.164 0.422
23 O 0.142 0.703 0.422
24 O 0.169 0.166 0.922
25 O 0.173 0.670 0.922
26 O 0.294 0.861 0.591
27 O 0.320 0.844 0.079
28 O 0.323 0.342 0.595
29 O 0.338 0.332 0.074
30 O 0.457 0.507 0.748
31 O 0.470 0.045 0.749
32 O 0.512 0.984 0.263
33 O 0.513 0.514 0.262
34 O 0.650 0.680 0.930
35 O 0.654 0.675 0.415
36 O 0.656 0.174 0.924
37 O 0.683 0.160 0.420
38 O 0.820 0.341 0.074
39 O 0.822 0.839 0.076
40 O 0.830 0.314 0.588
41 O 0.840 0.848 0.590
42 O 0.970 0.521 0.263
43 O 0.977 0.015 0.729

Summary:
SG: P1 (1)
Offset from the most stable computed form (meV per atom): 26

DFT (PBE+U) results for a relaxed LiNiP3O9 crystal.

a b c (Å): 9.358 9.433 9.603
angles (deg): 108.91 104.68 110.23
Fractional positions:
1 Li 0.074 0.304 0.216
2 Li 0.233 0.771 0.735
3 Li 0.767 0.229 0.265
4 Li 0.926 0.696 0.784
5 Ni 0.334 0.935 0.508
6 Ni 0.379 0.172 0.309
7 Ni 0.621 0.828 0.691
8 Ni 0.666 0.065 0.492
9 P 0.007 0.396 0.645
10 P 0.048 0.786 0.155
11 P 0.196 0.083 0.920
12 P 0.326 0.431 0.591
13 P 0.416 0.660 0.290
14 P 0.479 0.855 0.105
15 P 0.521 0.145 0.895
16 P 0.584 0.340 0.710
17 P 0.674 0.569 0.409
18 P 0.804 0.917 0.080
19 P 0.952 0.214 0.845
20 P 0.993 0.604 0.355
21 O 0.009 0.371 0.803
22 O 0.035 0.569 0.675
23 O 0.056 0.733 0.998
24 O 0.105 0.174 0.846
25 O 0.110 0.901 0.802
26 O 0.148 0.753 0.498
27 O 0.164 0.371 0.627
28 O 0.209 0.936 0.302
29 O 0.225 0.137 0.095
30 O 0.267 0.521 0.270
31 O 0.283 0.311 0.422
32 O 0.369 0.181 0.908
33 O 0.370 0.833 0.952
34 O 0.383 0.700 0.141
35 O 0.408 0.619 0.647
36 O 0.434 0.384 0.713
37 O 0.457 0.980 0.740
38 O 0.491 0.831 0.449
39 O 0.509 0.169 0.551
40 O 0.543 0.020 0.260
41 O 0.566 0.616 0.287
42 O 0.592 0.381 0.353
43 O 0.617 0.300 0.859
44 O 0.630 0.167 0.048
45 O 0.631 0.819 0.092
46 O 0.717 0.689 0.578
47 O 0.733 0.479 0.730
48 O 0.775 0.863 0.905
49 O 0.791 0.064 0.698
50 O 0.836 0.629 0.373
51 O 0.852 0.247 0.502
52 O 0.890 0.099 0.198
53 O 0.895 0.826 0.154
54 O 0.944 0.267 0.002
55 O 0.965 0.431 0.325
56 O 0.991 0.629 0.197

Summary:
SG: P-1 (2)
Offset from the most stable computed form (meV per atom): 51

DFT (PBE+U) results for a relaxed Li3MnCo2O6 crystal.

a b c (Å): 5.212 5.212 8.065
angles (deg): 113.76 113.76 33.97
Fractional positions:
1 Li 0.000 0.000 0.000
2 Li 0.333 0.333 0.667
3 Li 0.667 0.667 0.333
4 Mn 0.000 0.000 0.500
5 Co 0.331 0.331 0.165
6 Co 0.669 0.669 0.835
7 O 0.010 0.010 0.744
8 O 0.328 0.328 0.926
9 O 0.337 0.337 0.407
10 O 0.663 0.663 0.593
11 O 0.672 0.672 0.074
12 O 0.990 0.990 0.256

Summary:
SG: C2/m (12)
Offset from the most stable computed form (meV per atom): 45

Which value of offset from the most stable computed form does entry 1 give?
21 meV per atom

Which value of offset from the most stable computed form does entry 1 give?
21 meV per atom

The lowest offset from the most stable computed form belongs to which entry?
LiV2Si2O8

What did the second record say?
DFT (PBE+U) results for a relaxed MgV12Zn6O24 crystal.

a b c (Å): 6.028 6.039 15.394
angles (deg): 89.65 88.80 60.23
Fractional positions:
1 Mg 0.000 0.000 0.000
2 V 0.152 0.183 0.666
3 V 0.152 0.673 0.666
4 V 0.310 0.350 0.837
5 V 0.335 0.837 0.342
6 V 0.494 0.004 0.003
7 V 0.495 0.506 0.004
8 V 0.643 0.180 0.666
9 V 0.823 0.347 0.343
10 V 0.824 0.837 0.344
11 V 0.968 0.019 0.158
12 V 0.988 0.008 0.505
13 V 0.997 0.504 0.999
14 Zn 0.322 0.342 0.462
15 Zn 0.327 0.342 0.215
16 Zn 0.643 0.682 0.796
17 Zn 0.654 0.675 0.546
18 Zn 0.659 0.679 0.172
19 Zn 0.980 0.022 0.848
20 O 0.003 0.003 0.282
21 O 0.007 0.492 0.747
22 O 0.140 0.164 0.422
23 O 0.142 0.703 0.422
24 O 0.169 0.166 0.922
25 O 0.173 0.670 0.922
26 O 0.294 0.861 0.591
27 O 0.320 0.844 0.079
28 O 0.323 0.342 0.595
29 O 0.338 0.332 0.074
30 O 0.457 0.507 0.748
31 O 0.470 0.045 0.749
32 O 0.512 0.984 0.263
33 O 0.513 0.514 0.262
34 O 0.650 0.680 0.930
35 O 0.654 0.675 0.415
36 O 0.656 0.174 0.924
37 O 0.683 0.160 0.420
38 O 0.820 0.341 0.074
39 O 0.822 0.839 0.076
40 O 0.830 0.314 0.588
41 O 0.840 0.848 0.590
42 O 0.970 0.521 0.263
43 O 0.977 0.015 0.729

Summary:
SG: P1 (1)
Offset from the most stable computed form (meV per atom): 26